! Na10La7TaP12O48 | the Materials Project | GGA-PBE | optimized geometry; values from VASP
&SYSTEM
  ibrav = 0, nat = 234, ntyp = 5
/
ATOMIC_SPECIES
O 16.00 O.upf
P 30.97 P.upf
La 138.91 La.upf
Na 22.99 Na.upf
Ta 180.95 Ta.upf
CELL_PARAMETERS angstrom
18.999 -0.053 -0.014
-4.773 8.235 -0.001
-0.017 -0.014 24.241
ATOMIC_POSITIONS crystal
O 0.062 0.665 0.369
O 0.802 0.885 0.471
O 0.109 0.227 0.698
O 0.572 0.651 0.076
O 0.507 0.172 0.900
O 0.342 0.143 0.036
O 0.570 0.685 0.758
O 0.560 0.683 0.474
O 0.492 0.196 0.295
O 0.388 0.791 0.198
O 0.413 0.551 0.758
O 0.890 0.987 0.698
O 0.608 0.992 0.196
O 0.295 0.716 0.965
O 0.844 0.138 0.032
O 0.914 0.995 0.398
O 0.919 0.290 0.261
O 0.088 0.001 0.301
O 0.273 0.660 0.862
O 0.059 0.402 0.970
O 0.407 0.007 0.086
O 0.108 0.995 0.198
O 0.926 0.540 0.415
O 0.350 0.152 0.758
O 0.668 0.858 0.251
O 0.597 0.185 0.087
O 0.170 0.880 0.868
O 0.754 0.857 0.076
O 0.948 0.533 0.134
O 0.997 0.809 0.086
O 0.322 0.528 0.636
O 0.341 0.550 0.531
O 0.774 0.838 0.760
O 0.096 0.007 0.588
O 0.641 0.881 0.970
O 0.914 0.823 0.301
O 0.664 0.440 0.470
O 0.319 0.099 0.139
O 0.159 0.855 0.259
O 0.233 0.362 0.133
O 0.942 0.354 0.636
O 0.731 0.148 0.917
O 0.675 0.859 0.579
O 0.773 0.660 0.862
O 0.498 0.829 0.800
O 0.835 0.144 0.418
O 0.271 0.877 0.364
O 0.503 0.789 0.697
O 0.998 0.829 0.800
O 0.095 0.183 0.085
O 0.445 0.531 0.134
O 0.417 0.005 0.801
O 0.407 0.806 0.587
O 0.823 0.535 0.641
O 0.173 0.492 0.075
O 0.850 0.152 0.759
O 0.732 0.304 0.759
O 0.561 0.461 0.868
O 0.996 0.184 0.588
O 0.510 0.833 0.417
O 0.669 0.451 0.365
O 0.741 0.328 0.416
O 0.253 0.856 0.076
O 0.909 0.808 0.589
O 0.237 0.333 0.418
O 0.590 0.180 0.418
O 0.610 0.014 0.301
O 0.598 0.013 0.586
O 0.433 0.312 0.533
O 0.274 0.868 0.470
O 0.007 0.172 0.900
O 0.420 0.314 0.246
O 0.677 0.494 0.077
O 0.424 0.529 0.419
O 0.580 0.988 0.900
O 0.402 0.965 0.418
O 0.842 0.539 0.916
O 0.262 0.698 0.250
O 0.000 0.215 0.197
O 0.934 0.315 0.532
O 0.083 0.174 0.399
O 0.232 0.148 0.917
O 0.850 0.537 0.259
O 0.342 0.539 0.916
O 0.795 0.715 0.965
O 0.393 0.783 0.303
O 0.590 0.176 0.801
O 0.917 0.005 0.801
O 0.662 0.467 0.759
O 0.056 0.718 0.471
O 0.391 0.987 0.698
O 0.932 0.551 0.032
O 0.821 0.111 0.134
O 0.764 0.877 0.370
O 0.888 0.785 0.199
O 0.232 0.158 0.260
O 0.496 0.184 0.587
O 0.061 0.461 0.868
O 0.908 0.007 0.086
O 0.507 0.228 0.192
O 0.580 0.472 0.250
O 0.559 0.402 0.970
O 0.233 0.305 0.759
O 0.843 0.545 0.538
O 0.733 0.361 0.139
O 0.926 0.313 0.917
O 0.073 0.653 0.076
O 0.415 0.842 0.899
O 0.141 0.882 0.970
O 0.443 0.356 0.636
O 0.915 0.842 0.899
O 0.274 0.838 0.759
O 0.755 0.650 0.582
O 0.006 0.843 0.400
O 0.737 0.173 0.249
O 0.080 0.988 0.900
O 0.913 0.551 0.758
O 0.071 0.492 0.581
O 0.162 0.468 0.759
O 0.223 0.132 0.533
O 0.000 0.167 0.300
O 0.333 0.138 0.417
O 0.224 0.313 0.031
O 0.426 0.312 0.917
O 0.723 0.127 0.527
O 0.739 0.123 0.631
O 0.767 0.676 0.261
O 0.431 0.550 0.031
O 0.332 0.524 0.250
O 0.670 0.880 0.868
O 0.560 0.659 0.371
O 0.140 0.399 0.471
O 0.070 0.684 0.758
O 0.074 0.452 0.258
O 0.729 0.316 0.036
O 0.003 0.789 0.697
O 0.173 0.854 0.579
O 0.236 0.111 0.635
O 0.253 0.647 0.578
O 0.090 0.176 0.801
O 0.608 0.225 0.698
O 0.572 0.492 0.580
O 0.175 0.471 0.370
O 0.496 0.807 0.085
P 0.513 0.342 0.914
P 0.854 0.703 0.255
P 0.656 0.006 0.250
P 0.182 0.027 0.584
P 0.181 0.337 0.081
P 0.328 0.684 0.911
P 0.658 0.974 0.914
P 0.828 0.684 0.911
P 0.998 0.285 0.254
P 0.987 0.636 0.082
P 0.648 0.293 0.754
P 0.828 0.976 0.414
P 0.684 0.032 0.581
P 0.513 0.673 0.420
P 0.497 0.711 0.753
P 0.667 0.353 0.416
P 0.149 0.294 0.755
P 0.013 0.342 0.914
P 0.013 0.688 0.414
P 0.856 0.998 0.754
P 0.833 0.633 0.588
P 0.486 0.634 0.082
P 0.344 0.696 0.251
P 0.148 0.003 0.254
P 0.331 0.028 0.085
P 0.159 0.345 0.415
P 0.985 0.335 0.585
P 0.331 0.632 0.584
P 0.486 0.337 0.584
P 0.356 0.998 0.754
P 0.685 0.339 0.085
P 0.832 0.030 0.082
P 0.997 0.711 0.753
P 0.320 0.965 0.417
P 0.500 0.306 0.246
P 0.158 0.975 0.914
La 0.157 0.657 0.505
La 0.662 0.668 0.819
La 0.333 0.334 0.978
La 0.673 0.670 0.507
La 0.003 0.006 0.656
La 0.843 0.335 0.188
La 0.833 0.322 0.691
La 0.664 0.670 0.318
La 0.840 0.347 0.480
La 0.161 0.658 0.318
La 0.000 0.998 0.156
La 0.162 0.668 0.819
La 0.332 0.321 0.481
La 0.666 0.666 0.003
La 0.167 0.668 0.002
La 0.503 0.005 0.655
La 0.500 0.996 0.154
La 0.500 0.007 0.348
La 0.833 0.335 0.978
La 0.330 0.341 0.185
La 0.334 0.323 0.691
Na 0.347 0.666 0.413
Na 0.333 0.321 0.837
Na 0.152 0.970 0.081
Na 0.316 0.998 0.253
Na 0.500 0.012 0.494
Na 0.333 0.695 0.082
Na 0.014 0.332 0.080
Na 0.000 0.000 0.996
Na 0.833 0.695 0.082
Na 0.153 0.335 0.581
Na 0.000 0.999 0.493
Na 0.332 0.966 0.582
Na 0.515 0.332 0.083
Na 0.515 0.696 0.582
Na 0.813 0.630 0.756
Na 0.163 0.654 0.170
Na 0.013 0.699 0.583
Na 0.685 0.368 0.253
Na 0.653 0.336 0.582
Na 0.312 0.630 0.757
Na 0.665 0.681 0.171
Na 0.833 0.322 0.837
Na 0.846 0.347 0.333
Na 0.160 0.666 0.670
Na 0.653 0.973 0.082
Na 0.660 0.665 0.670
Na 0.500 0.000 0.996
Na 0.668 0.034 0.414
Na 0.835 0.971 0.582
Na 0.332 0.332 0.332
Ta 0.502 0.003 0.849
Ta 0.000 0.000 0.347
Ta 0.002 0.003 0.849
! - formation energy from the elements (eV per formula unit) = -238.53
! - DFT total energy (eV per atom) = -7.278